No. 1
Crystalline CsRbMg14O15 at its relaxed geometry, computed with PBE-GGA.

a = 4.200 Å, b = 8.550 Å, c = 10.218 Å
α = 90.00°, β = 90.00°, γ = 90.00°
Element x y z (fractional)
1 Mg 0.500 0.758 0.973
2 Mg 0.000 0.743 0.291
3 Mg 0.000 0.784 0.759
4 Mg 0.000 0.257 0.291
5 Mg 0.500 0.740 0.499
6 Mg 0.500 0.000 0.722
7 Mg 0.500 0.500 0.253
8 Mg 0.500 0.260 0.499
9 Mg 0.000 0.000 0.503
10 Mg 0.000 0.216 0.759
11 Mg 0.500 0.500 0.810
12 Mg 0.500 0.000 0.302
13 Mg 0.000 0.500 0.032
14 Mg 0.500 0.242 0.973
15 O 0.000 0.000 0.302
16 O 0.000 0.000 0.707
17 O 0.500 0.278 0.732
18 O 0.500 0.500 0.451
19 O 0.500 0.722 0.732
20 O 0.500 0.500 0.002
21 O 0.000 0.291 0.940
22 O 0.000 0.500 0.226
23 O 0.500 0.000 0.510
24 O 0.500 0.764 0.241
25 O 0.000 0.709 0.940
26 O 0.500 0.236 0.241
27 O 0.000 0.236 0.490
28 O 0.000 0.764 0.490
29 O 0.500 0.000 0.919
30 Cs 0.000 0.500 0.607
31 Rb 0.000 0.000 0.055

Output
* energy above the lowest structure with this stoichiometry: 17 meV per atom
* total moment: 0.0 Bohr magnetons per cell
* total DFT energy (no corrections): -167.15 eV/cell
* space-group type: Pmm2, No. 25
* V: 11.836 Å³/atom
* crystal system: orthorhombic

No. 2
Crystalline CaH6C4O6 at its relaxed geometry, computed with PBE-GGA.

a = 6.113 Å, b = 10.451 Å, c = 16.800 Å
α = 107.41°, β = 100.19°, γ = 90.58°
Element x y z (fractional)
1 H 0.251 0.749 0.795
2 H 0.749 0.251 0.205
3 H 0.187 0.741 0.017
4 H 0.718 0.658 0.757
5 H 0.771 0.577 0.134
6 H 0.084 0.869 0.767
7 H 0.252 0.962 0.208
8 H 0.813 0.259 0.983
9 H 0.032 0.185 0.365
10 H 0.968 0.815 0.635
11 H 0.932 0.305 0.919
12 H 0.846 0.028 0.365
13 H 0.432 0.399 0.820
14 H 0.503 0.184 0.368
15 H 0.748 0.038 0.792
16 H 0.068 0.695 0.081
17 H 0.116 0.640 0.209
18 H 0.282 0.342 0.243
19 H 0.229 0.423 0.866
20 H 0.420 0.112 0.239
21 H 0.330 0.077 0.396
22 H 0.119 0.497 0.143
23 H 0.154 0.972 0.635
24 H 0.881 0.503 0.857
25 H 0.580 0.888 0.761
26 H 0.480 0.334 0.963
27 H 0.497 0.816 0.632
28 H 0.457 0.602 0.938
29 H 0.884 0.360 0.791
30 H 0.543 0.398 0.062
31 H 0.568 0.601 0.180
32 H 0.670 0.923 0.604
33 H 0.161 0.691 0.608
34 H 0.839 0.309 0.392
35 H 0.916 0.131 0.233
36 H 0.520 0.666 0.037
37 O 0.394 0.436 0.876
38 O 0.815 0.706 0.481
39 O 0.039 0.899 0.919
40 O 0.819 0.710 0.858
41 O 0.222 0.833 0.306
42 O 0.055 0.754 0.044
43 O 0.676 0.227 0.523
44 O 0.324 0.773 0.477
45 O 0.443 0.253 0.677
46 O 0.281 0.528 0.690
47 O 0.778 0.167 0.694
48 O 0.537 0.990 0.913
49 O 0.525 0.311 0.015
50 O 0.782 0.019 0.481
51 O 0.273 0.471 0.480
52 O 0.557 0.747 0.323
53 O 0.933 0.413 0.851
54 O 0.224 0.037 0.689
55 O 0.328 0.132 0.861
56 O 0.185 0.294 0.519
57 O 0.067 0.587 0.149
58 O 0.672 0.868 0.139
59 O 0.218 0.981 0.519
60 O 0.181 0.290 0.142
61 O 0.945 0.246 0.956
62 O 0.727 0.644 0.695
63 O 0.463 0.010 0.087
64 O 0.776 0.963 0.311
65 O 0.719 0.472 0.310
66 O 0.054 0.580 0.328
67 O 0.606 0.564 0.124
68 O 0.727 0.529 0.520
69 O 0.961 0.101 0.081
70 O 0.273 0.356 0.305
71 O 0.475 0.689 0.985
72 O 0.946 0.420 0.672
73 C 0.039 0.339 0.304
74 C 0.927 0.474 0.314
75 C 0.529 0.955 0.146
76 C 0.835 0.641 0.535
77 C 0.961 0.661 0.696
78 C 0.990 0.707 0.620
79 C 0.077 0.771 0.778
80 C 0.502 0.910 0.616
81 C 0.573 0.997 0.774
82 C 0.073 0.526 0.686
83 C 0.340 0.888 0.532
84 C 0.569 0.160 0.688
85 C 0.498 0.090 0.384
86 C 0.427 0.003 0.226
87 C 0.010 0.293 0.380
88 C 0.923 0.229 0.222
89 C 0.431 0.840 0.312
90 C 0.538 0.972 0.308
91 C 0.165 0.359 0.465
92 C 0.974 0.794 0.857
93 C 0.471 0.045 0.854
94 C 0.660 0.112 0.468
95 C 0.026 0.206 0.143
96 C 0.462 0.028 0.692
97 Ca 0.252 0.118 0.996
98 Ca 0.748 0.882 0.004
99 Ca 0.456 0.575 0.394
100 Ca 0.047 0.195 0.610
101 Ca 0.953 0.805 0.390
102 Ca 0.544 0.425 0.606

Output
* total moment: 0.3 Bohr magnetons per cell
* total DFT energy (no corrections): -645.53 eV/cell
* space-group type: P-1, No. 2
* V: 9.860 Å³/atom
* crystal system: triclinic